# 1
{
  "formula": "KCaBr3",
  "functional": "PBE",
  "state": "relaxed",
  "cell": [[8.0606, 0.0000, 0.0000], [0.0000, 11.1551, 0.0000], [0.0000, 0.0000, 7.7822]],
  "species": ["K", "K", "K", "K", "Ca", "Ca", "Ca", "Ca", "Br", "Br", "Br", "Br", "Br", "Br", "Br", "Br", "Br", "Br", "Br", "Br"],
  "frac_coords": [[0.0637, 0.2500, 0.0166], [0.4363, 0.7500, 0.5166], [0.5637, 0.2500, 0.4834], [0.9363, 0.7500, 0.9834], [0.0000, 0.0000, 0.5000], [0.0000, 0.5000, 0.5000], [0.5000, 0.0000, 0.0000], [0.5000, 0.5000, 0.0000], [0.0325, 0.7500, 0.3994], [0.1984, 0.5512, 0.8047], [0.1984, 0.9488, 0.8047], [0.3016, 0.0512, 0.3047], [0.3016, 0.4488, 0.3047], [0.4675, 0.2500, 0.8994], [0.5325, 0.7500, 0.1006], [0.6984, 0.5512, 0.6953], [0.6984, 0.9488, 0.6953], [0.8016, 0.0512, 0.1953], [0.8016, 0.4488, 0.1953], [0.9675, 0.2500, 0.6006]],
  "crystal_system": "orthorhombic"
}

---

# 2
{
  "formula": "SrCa3Br2N2",
  "functional": "PBE",
  "state": "relaxed",
  "cell": [[6.5461, 0.0000, 0.0000], [0.0000, 3.7782, 0.0000], [-2.1835, 0.0000, 7.0755]],
  "species": ["Sr", "Ca", "Ca", "Ca", "Br", "Br", "N", "N"],
  "frac_coords": [[0.0000, 0.0000, 0.0000], [0.4538, 0.0000, 0.3650], [0.5039, 0.5000, 0.0215], [0.9530, 0.5000, 0.3640], [0.2319, 0.0000, 0.6824], [0.7185, 0.5000, 0.6763], [0.2363, 0.5000, 0.1944], [0.7238, 0.0000, 0.1916]],
  "magmom_total_mub_per_fu": 0.00,
  "crystal_system": "monoclinic"
}

---

no.,electronic total energy (eV for the cell shown)
1,-71.16
2,-38.61